(1)
LuNiGe2 | GGA-PBE | optimized geometry

Values from the calculation:
- raw total energy (eV for the cell shown) = -88.70
- space group = No. 71

```
LuNiGe2
1.0
-2.0625 4.2289 7.8924
2.0625 -4.2289 7.8924
2.0625 4.2289 -7.8924
Lu Ni Ge
4 4 8
direct
0.2382 0.5000 0.7382 Lu
0.7618 0.5000 0.2618 Lu
0.7967 0.2967 0.5000 Lu
0.2033 0.7033 0.5000 Lu
0.8988 0.1473 0.7515 Ni
0.1012 0.8527 0.2485 Ni
0.3958 0.1473 0.2485 Ni
0.6042 0.8527 0.7515 Ni
0.1457 0.3033 0.8424 Ge
0.5794 0.0794 0.5000 Ge
0.0771 0.0771 0.0000 Ge
0.8543 0.6967 0.1576 Ge
0.9229 0.9229 0.0000 Ge
0.4608 0.3033 0.1576 Ge
0.4206 0.9206 0.5000 Ge
0.5392 0.6967 0.8424 Ge
```


(2)
Lu3Ni11Ge4 | GGA-PBE | optimized geometry

Values from the calculation:
- raw total energy (eV for the cell shown) = -208.20
- space group = No. 194

```
Lu3Ni11Ge4
1.0
-4.1192 -7.1347 0.0000
-4.1192 7.1347 0.0000
0.0000 0.0000 -8.4870
Lu Ni Ge
6 22 8
direct
0.8046 0.1954 0.7500 Lu
0.1954 0.8046 0.2500 Lu
0.3909 0.1954 0.7500 Lu
0.6091 0.8046 0.2500 Lu
0.8046 0.6091 0.7500 Lu
0.1954 0.3909 0.2500 Lu
0.8417 0.1583 0.4087 Ni
0.1583 0.8417 0.5913 Ni
0.3166 0.1583 0.4087 Ni
0.1583 0.8417 0.9087 Ni
0.6834 0.8417 0.5913 Ni
0.8417 0.1583 0.0913 Ni
0.8417 0.6834 0.4087 Ni
0.6834 0.8417 0.9087 Ni
0.1583 0.3166 0.5913 Ni
0.3166 0.1583 0.0913 Ni
0.1583 0.3166 0.9087 Ni
0.8417 0.6834 0.0913 Ni
0.4352 0.5648 0.7500 Ni
0.5648 0.4352 0.2500 Ni
0.1295 0.5648 0.7500 Ni
0.8705 0.4352 0.2500 Ni
0.4352 0.8705 0.7500 Ni
0.5648 0.1295 0.2500 Ni
0.6667 0.3333 0.9973 Ni
0.3333 0.6667 0.0027 Ni
0.3333 0.6667 0.4973 Ni
0.6667 0.3333 0.5027 Ni
0.5000 0.5000 0.0000 Ge
0.0000 0.5000 0.0000 Ge
0.5000 0.5000 0.5000 Ge
0.5000 0.0000 0.0000 Ge
0.0000 0.5000 0.5000 Ge
0.5000 0.0000 0.5000 Ge
0.0000 0.0000 0.7500 Ge
0.0000 0.0000 0.2500 Ge
```


(3)
LuNiGe2 | GGA-PBE | optimized geometry

Values from the calculation:
- raw total energy (eV for the cell shown) = -44.02
- space group = No. 63

```
LuNiGe2
1.0
2.0097 -8.3862 0.0000
2.0097 8.3862 0.0000
0.0000 0.0000 4.1680
Lu Ni Ge
2 2 4
direct
0.8915 0.1085 0.2500 Lu
0.1085 0.8915 0.7500 Lu
0.6766 0.3234 0.2500 Ni
0.3234 0.6766 0.7500 Ni
0.5404 0.4596 0.2500 Ge
0.4596 0.5404 0.7500 Ge
0.2526 0.7474 0.2500 Ge
0.7474 0.2526 0.7500 Ge
```


(4)
Lu2NiGe4 | GGA-PBE | optimized geometry

Values from the calculation:
- raw total energy (eV for the cell shown) = -37.57
- space group = No. 38

```
Lu2NiGe4
1.0
0.0000 0.0000 4.0192
4.0265 0.0000 0.0000
2.0132 8.1489 0.0000
Lu Ni Ge
2 1 4
direct
0.2500 0.8927 0.2146 Lu
0.7500 0.1038 0.7924 Lu
0.2500 0.6829 0.6342 Ni
0.2500 0.5418 0.9163 Ge
0.7500 0.4441 0.1118 Ge
0.2500 0.2597 0.4806 Ge
0.7500 0.7580 0.4840 Ge
```


(5)
Lu2GeO5 | GGA-PBE | optimized geometry

Values from the calculation:
- raw total energy (eV for the cell shown) = -248.69
- space group = No. 14

```
Lu2GeO5
1.0
6.8699 0.0000 0.0000
0.0000 6.6345 0.0000
0.0000 1.8756 8.9868
Lu Ge O
8 4 20
direct
0.8740 0.2728 0.0292 Lu
0.6260 0.7728 0.0292 Lu
0.8602 0.4878 0.3537 Lu
0.6398 0.9878 0.3537 Lu
0.3602 0.0122 0.6463 Lu
0.1398 0.5122 0.6463 Lu
0.3740 0.2272 0.9708 Lu
0.1260 0.7272 0.9708 Lu
0.4022 0.4896 0.3015 Ge
0.0978 0.9896 0.3015 Ge
0.9022 0.0104 0.6985 Ge
0.5978 0.5104 0.6985 Ge
0.1433 0.0116 0.1055 O
0.6154 0.0802 0.1071 O
0.3567 0.5116 0.1055 O
0.8846 0.5802 0.1071 O
0.9216 0.1977 0.2788 O
0.3117 0.0121 0.3978 O
0.5784 0.6977 0.2788 O
0.5756 0.3052 0.3804 O
0.1883 0.5121 0.3978 O
0.9244 0.8052 0.3804 O
0.0756 0.1948 0.6196 O
0.8117 0.4879 0.6022 O
0.4244 0.6948 0.6196 O
0.4216 0.3023 0.7212 O
0.6883 0.9879 0.6022 O
0.0784 0.8023 0.7212 O
0.1154 0.4198 0.8929 O
0.6433 0.4884 0.8945 O
0.3846 0.9198 0.8929 O
0.8567 0.9884 0.8945 O
```


(6)
Lu2GeO5 | GGA-PBE | optimized geometry

Values from the calculation:
- raw total energy (eV for the cell shown) = -248.74
- space group = No. 62

```
Lu2GeO5
1.0
3.6271 0.0000 0.0000
0.0000 10.1607 0.0000
0.0000 0.0000 10.9559
Lu Ge O
8 4 20
direct
0.2500 0.1111 0.7755 Lu
0.2500 0.1341 0.4392 Lu
0.7500 0.3659 0.9392 Lu
0.7500 0.3889 0.2755 Lu
0.2500 0.6111 0.7245 Lu
0.2500 0.6341 0.0608 Lu
0.7500 0.8659 0.5608 Lu
0.7500 0.8889 0.2245 Lu
0.2500 0.1756 0.1154 Ge
0.7500 0.3244 0.6154 Ge
0.2500 0.6756 0.3846 Ge
0.7500 0.8244 0.8846 Ge
0.2500 0.9919 0.6043 O
0.2500 0.0082 0.1562 O
0.7500 0.2389 0.1117 O
0.7500 0.2408 0.7659 O
0.2500 0.2240 0.9546 O
0.7500 0.2760 0.4546 O
0.2500 0.2592 0.2659 O
0.2500 0.2611 0.6117 O
0.7500 0.4918 0.6562 O
0.7500 0.5081 0.1043 O
0.2500 0.4919 0.8957 O
0.2500 0.5082 0.3438 O
0.7500 0.7389 0.3883 O
0.7500 0.7408 0.7341 O
0.2500 0.7240 0.5454 O
0.7500 0.7760 0.0454 O
0.2500 0.7592 0.2341 O
0.2500 0.7611 0.8883 O
0.7500 0.9918 0.8438 O
0.7500 0.0081 0.3957 O
```


(7)
LuGeO3 | GGA-PBE | optimized geometry

Values from the calculation:
- raw total energy (eV for the cell shown) = -33.23
- space group = No. 221

```
LuGeO3
1.0
3.8760 0.0000 0.0000
0.0000 3.8760 0.0000
0.0000 0.0000 3.8760
Lu Ge O
1 1 3
direct
0.0000 0.0000 0.0000 Lu
0.5000 0.5000 0.5000 Ge
0.5000 0.5000 0.0000 O
0.5000 0.0000 0.5000 O
0.0000 0.5000 0.5000 O
```


(8)
Lu2GeO5 | GGA-PBE | optimized geometry

Values from the calculation:
- raw total energy (eV for the cell shown) = -123.08
- space group = No. 15

```
Lu2GeO5
1.0
2.5801 5.7007 0.0000
-2.5801 5.7007 0.0000
0.0000 2.9864 6.7325
Lu Ge O
4 2 10
direct
0.3677 0.3528 0.2564 Lu
0.6472 0.6323 0.2436 Lu
0.3528 0.3677 0.7564 Lu
0.6323 0.6472 0.7436 Lu
0.0000 0.0000 0.0000 Ge
0.0000 0.0000 0.5000 Ge
0.9759 0.6884 0.1377 O
0.2417 0.6119 0.4594 O
0.6119 0.2417 0.9594 O
0.3116 0.0241 0.3623 O
0.6884 0.9759 0.6377 O
0.8298 0.1702 0.2500 O
0.3881 0.7583 0.0406 O
0.7583 0.3881 0.5406 O
0.0241 0.3116 0.8623 O
0.1702 0.8298 0.7500 O
```